[1]
Compound: Li2Fe2Si4O11
Source: the Materials Project
Functional: PBE with a Hubbard U
Structure: optimized geometry Values from VASP.

Results
- Theoretical density: 3.189 g cm⁻³
- ΔH_f (0 K): -2022 meV per atom
- Calculated total energy: -246.48 eV for the cell shown

The structure in Quantum ESPRESSO input format:
```
&SYSTEM
  ibrav = 0, nat = 38, ntyp = 4
/
ATOMIC_SPECIES
Li 6.94 Li.upf
Fe 55.84 Fe.upf
Si 28.09 Si.upf
O 16.00 O.upf
CELL_PARAMETERS angstrom
7.0524 0.0000 0.0000
-1.9160 7.2928 0.0000
-1.6987 -1.9356 8.3812
ATOMIC_POSITIONS crystal
Li 0.2041 0.3015 0.3903
Li 0.2456 0.3492 0.8555
Li 0.7544 0.6508 0.1445
Li 0.7959 0.6985 0.6097
Fe 0.3789 0.1107 0.1181
Fe 0.3825 0.1018 0.6290
Fe 0.6175 0.8982 0.3710
Fe 0.6211 0.8893 0.8819
Si 0.0253 0.9040 0.2319
Si 0.2219 0.7249 0.5210
Si 0.2235 0.7327 0.9578
Si 0.3896 0.5328 0.2399
Si 0.6104 0.4672 0.7601
Si 0.7765 0.2673 0.0422
Si 0.7781 0.2751 0.4790
Si 0.9747 0.0960 0.7681
O 0.0384 0.7735 0.3804
O 0.0468 0.7921 0.0218
O 0.1514 0.6815 0.7097
O 0.1915 0.0648 0.3229
O 0.1935 0.0849 0.8169
O 0.2602 0.5589 0.3990
O 0.2611 0.5672 0.0250
O 0.3821 0.3454 0.1839
O 0.4048 0.3446 0.6766
O 0.4082 0.8690 0.5823
O 0.4135 0.8733 0.0614
O 0.5865 0.1267 0.9386
O 0.5918 0.1310 0.4177
O 0.5952 0.6554 0.3234
O 0.6179 0.6546 0.8161
O 0.7389 0.4328 0.9750
O 0.7398 0.4411 0.6010
O 0.8065 0.9151 0.1831
O 0.8085 0.9352 0.6771
O 0.8486 0.3185 0.2903
O 0.9532 0.2079 0.9782
O 0.9616 0.2265 0.6196
```

***

[2]
Compound: LiFeSiO4
Source: the Materials Project
Functional: PBE with a Hubbard U
Structure: optimized geometry Values from VASP.

Results
- Theoretical density: 2.984 g cm⁻³
- ΔH_f (0 K): -2468 meV per atom
- Calculated total energy: -191.47 eV for the cell shown

The structure in Quantum ESPRESSO input format:
```
&SYSTEM
  ibrav = 0, nat = 28, ntyp = 4
/
ATOMIC_SPECIES
Li 6.94 Li.upf
Fe 55.84 Fe.upf
Si 28.09 Si.upf
O 16.00 O.upf
CELL_PARAMETERS angstrom
11.3020 0.0000 0.0000
0.0000 6.0764 0.0000
0.0000 0.0000 5.0194
ATOMIC_POSITIONS crystal
Li 0.1726 0.0100 0.0000
Li 0.3274 0.5100 0.5000
Li 0.6726 0.4900 0.0000
Li 0.8274 0.9900 0.5000
Fe 0.0780 0.2600 0.5016
Fe 0.4220 0.7600 0.0016
Fe 0.5780 0.2400 0.5016
Fe 0.9220 0.7400 0.0016
Si 0.0833 0.7599 0.5056
Si 0.4167 0.2599 0.0056
Si 0.5833 0.7401 0.5056
Si 0.9167 0.2401 0.0056
O 0.0520 0.2444 0.8764
O 0.0716 0.7702 0.8332
O 0.1508 0.9853 0.3997
O 0.1554 0.5335 0.4247
O 0.3446 0.0335 0.9247
O 0.3492 0.4853 0.8997
O 0.4284 0.2702 0.3332
O 0.4480 0.7444 0.3764
O 0.5520 0.2556 0.8764
O 0.5716 0.7298 0.8332
O 0.6508 0.5147 0.3997
O 0.6554 0.9665 0.4247
O 0.8446 0.4665 0.9247
O 0.8492 0.0147 0.8997
O 0.9284 0.2298 0.3332
O 0.9480 0.7556 0.3764
```

***

[3]
Compound: Li9Fe5Si2O16
Source: the Materials Project
Functional: PBE with a Hubbard U
Structure: optimized geometry Values from VASP.

Results
- Theoretical density: 3.806 g cm⁻³
- ΔH_f (0 K): -2235 meV per atom
- Calculated total energy: -198.81 eV for the cell shown

The structure in Quantum ESPRESSO input format:
```
&SYSTEM
  ibrav = 0, nat = 32, ntyp = 4
/
ATOMIC_SPECIES
Li 6.94 Li.upf
Fe 55.84 Fe.upf
Si 28.09 Si.upf
O 16.00 O.upf
CELL_PARAMETERS angstrom
5.0781 0.0000 0.0000
0.0000 11.6122 0.0000
-1.7062 0.0000 4.8383
ATOMIC_POSITIONS crystal
Li 0.0000 0.0000 0.0000
Li 0.0000 0.1158 0.5000
Li 0.0000 0.3751 0.5000
Li 0.0000 0.6249 0.5000
Li 0.0000 0.8842 0.5000
Li 0.5000 0.0000 0.5000
Li 0.5000 0.2420 0.5000
Li 0.5000 0.5000 0.5000
Li 0.5000 0.7580 0.5000
Fe 0.0000 0.2389 0.0000
Fe 0.0000 0.5000 0.0000
Fe 0.0000 0.7611 0.0000
Fe 0.5000 0.3705 0.0000
Fe 0.5000 0.6295 0.0000
Si 0.5000 0.1169 0.0000
Si 0.5000 0.8831 0.0000
O 0.2422 0.3723 0.2312
O 0.2422 0.6277 0.2312
O 0.2577 0.5000 0.7668
O 0.2705 0.2331 0.7785
O 0.2705 0.7669 0.7785
O 0.2796 0.1250 0.2103
O 0.2796 0.8750 0.2103
O 0.2934 0.0000 0.7885
O 0.7066 0.0000 0.2115
O 0.7204 0.1250 0.7897
O 0.7204 0.8750 0.7897
O 0.7295 0.2331 0.2215
O 0.7295 0.7669 0.2215
O 0.7423 0.5000 0.2332
O 0.7578 0.3723 0.7688
O 0.7578 0.6277 0.7688
```

***

[4]
Compound: LiFeSiO4
Source: the Materials Project
Functional: PBE with a Hubbard U
Structure: optimized geometry Values from VASP.

Results
- Theoretical density: 2.914 g cm⁻³
- ΔH_f (0 K): -2497 meV per atom
- Calculated total energy: -192.27 eV for the cell shown

The structure in Quantum ESPRESSO input format:
```
&SYSTEM
  ibrav = 0, nat = 28, ntyp = 4
/
ATOMIC_SPECIES
Li 6.94 Li.upf
Fe 55.84 Fe.upf
Si 28.09 Si.upf
O 16.00 O.upf
CELL_PARAMETERS angstrom
10.8445 0.0000 0.0000
0.0000 5.1012 0.0000
0.0000 0.0000 6.3810
ATOMIC_POSITIONS crystal
Li 0.1714 0.1735 0.0000
Li 0.3286 0.6735 0.5000
Li 0.6714 0.3265 0.0000
Li 0.8286 0.8265 0.5000
Fe 0.0846 0.6758 0.7513
Fe 0.4154 0.1758 0.2513
Fe 0.5846 0.8242 0.7513
Fe 0.9154 0.3242 0.2513
Si 0.1649 0.1716 0.4976
Si 0.3351 0.6716 0.9976
Si 0.6649 0.3284 0.4976
Si 0.8351 0.8284 0.9976
O 0.0840 0.2437 0.2854
O 0.1091 0.3095 0.7122
O 0.1639 0.8512 0.5271
O 0.1927 0.7804 0.9694
O 0.3073 0.2804 0.4694
O 0.3361 0.3512 0.0271
O 0.3909 0.8095 0.2122
O 0.4160 0.7437 0.7854
O 0.5840 0.2563 0.2854
O 0.6091 0.1905 0.7122
O 0.6639 0.6488 0.5271
O 0.6927 0.7196 0.9694
O 0.8073 0.2196 0.4694
O 0.8361 0.1488 0.0271
O 0.8909 0.6905 0.2122
O 0.9160 0.7563 0.7854
```

***

[5]
Compound: Li2FeSiO5
Source: the Materials Project
Functional: PBE with a Hubbard U
Structure: optimized geometry Values from VASP.

Results
- Theoretical density: 3.157 g cm⁻³
- ΔH_f (0 K): -2302 meV per atom
- Calculated total energy: -229.91 eV for the cell shown

The structure in Quantum ESPRESSO input format:
```
&SYSTEM
  ibrav = 0, nat = 36, ntyp = 4
/
ATOMIC_SPECIES
Li 6.94 Li.upf
Fe 55.84 Fe.upf
Si 28.09 Si.upf
O 16.00 O.upf
CELL_PARAMETERS angstrom
0.0000 -0.0005 4.5104
6.3638 -0.0001 0.0000
-0.0002 13.0349 -0.0015
ATOMIC_POSITIONS crystal
Li 0.0000 0.0002 0.0000
Li 0.0001 0.9998 0.5000
Li 0.0001 0.0000 0.2500
Li 0.0000 0.0000 0.7500
Li 0.0001 0.5000 0.2500
Li 0.0000 0.5000 0.7500
Li 0.0000 0.4998 0.0000
Li 0.0001 0.5002 0.5000
Fe 0.6014 0.2500 0.6250
Fe 0.3986 0.7500 0.8750
Fe 0.6011 0.2500 0.1250
Fe 0.3986 0.7500 0.3750
Si 0.5248 0.2500 0.3750
Si 0.5247 0.2500 0.8750
Si 0.4752 0.7500 0.1250
Si 0.4752 0.7500 0.6250
O 0.2138 0.2500 0.1248
O 0.2143 0.2500 0.6249
O 0.7861 0.7500 0.3752
O 0.7858 0.7500 0.8751
O 0.2984 0.0455 0.3750
O 0.2982 0.0456 0.8749
O 0.7361 0.2500 0.2732
O 0.7359 0.2500 0.7731
O 0.7357 0.2500 0.4770
O 0.7357 0.2500 0.9768
O 0.2984 0.4545 0.3750
O 0.2982 0.4544 0.8749
O 0.7016 0.5455 0.1250
O 0.7018 0.5456 0.6251
O 0.2643 0.7500 0.0230
O 0.2641 0.7500 0.5232
O 0.2639 0.7500 0.2268
O 0.2642 0.7500 0.7269
O 0.7016 0.9545 0.1250
O 0.7017 0.9544 0.6251
```

***

[6]
Compound: LiFeSi2O6
Source: the Materials Project
Functional: PBE with a Hubbard U
Structure: optimized geometry Values from VASP.

Results
- Theoretical density: 3.288 g cm⁻³
- ΔH_f (0 K): -2756 meV per atom
- Calculated total energy: -144.19 eV for the cell shown

The structure in Quantum ESPRESSO input format:
```
&SYSTEM
  ibrav = 0, nat = 20, ntyp = 4
/
ATOMIC_SPECIES
Li 6.94 Li.upf
Fe 55.84 Fe.upf
Si 28.09 Si.upf
O 16.00 O.upf
CELL_PARAMETERS angstrom
4.9199 -4.4011 0.0000
4.9199 4.4011 0.0000
-1.9045 0.0000 5.0132
ATOMIC_POSITIONS crystal
Li 0.2481 0.7519 0.7500
Li 0.7519 0.2481 0.2500
Fe 0.3970 0.6030 0.2500
Fe 0.6030 0.3970 0.7500
Si 0.1149 0.2933 0.7313
Si 0.2933 0.1149 0.2313
Si 0.7067 0.8851 0.7687
Si 0.8851 0.7067 0.2687
O 0.1250 0.6124 0.3285
O 0.1426 0.1499 0.4400
O 0.1499 0.1426 0.9400
O 0.2988 0.4694 0.8499
O 0.3876 0.8750 0.1715
O 0.4694 0.2988 0.3499
O 0.5306 0.7012 0.6501
O 0.6124 0.1250 0.8285
O 0.7012 0.5306 0.1501
O 0.8501 0.8574 0.0600
O 0.8574 0.8501 0.5600
O 0.8750 0.3876 0.6715
```

***

[7]
Compound: Li2FeSiO5
Source: the Materials Project
Functional: PBE with a Hubbard U
Structure: optimized geometry Values from VASP.

Results
- Theoretical density: 3.125 g cm⁻³
- ΔH_f (0 K): -2279 meV per atom
- Calculated total energy: -229.08 eV for the cell shown

The structure in Quantum ESPRESSO input format:
```
&SYSTEM
  ibrav = 0, nat = 36, ntyp = 4
/
ATOMIC_SPECIES
Li 6.94 Li.upf
Fe 55.84 Fe.upf
Si 28.09 Si.upf
O 16.00 O.upf
CELL_PARAMETERS angstrom
9.0740 0.0000 0.0000
0.0000 4.5498 0.0000
0.0000 0.0000 9.1552
ATOMIC_POSITIONS crystal
Li 0.0000 0.0133 0.0000
Li 0.0000 0.9867 0.5000
Li 0.2622 0.0025 0.2562
Li 0.2622 0.9975 0.7562
Li 0.5000 0.3922 0.7569
Li 0.5000 0.6078 0.2569
Li 0.7378 0.0025 0.2562
Li 0.7378 0.9975 0.7562
Fe 0.0000 0.3995 0.2593
Fe 0.0000 0.6005 0.7593
Fe 0.5000 0.0335 0.4766
Fe 0.5000 0.9665 0.9766
Si 0.2493 0.4988 0.5083
Si 0.2493 0.5012 0.0083
Si 0.7507 0.4988 0.5083
Si 0.7507 0.5012 0.0083
O 0.0000 0.2145 0.7638
O 0.0000 0.7855 0.2638
O 0.1455 0.2889 0.4030
O 0.1463 0.2932 0.1153
O 0.1463 0.7068 0.6153
O 0.1455 0.7111 0.9030
O 0.3466 0.2624 0.9166
O 0.3466 0.7376 0.4166
O 0.3509 0.2617 0.5968
O 0.3509 0.7383 0.0968
O 0.5000 0.1876 0.2931
O 0.5000 0.8124 0.7931
O 0.6491 0.2617 0.5968
O 0.6491 0.7383 0.0968
O 0.6534 0.2624 0.9166
O 0.6534 0.7376 0.4166
O 0.8545 0.2889 0.4030
O 0.8537 0.2932 0.1153
O 0.8537 0.7068 0.6153
O 0.8545 0.7111 0.9030
```

***

[8]
Compound: LiFeSiO4
Source: the Materials Project
Functional: PBE with a Hubbard U
Structure: optimized geometry Values from VASP.

Results
- Theoretical density: 2.857 g cm⁻³
- ΔH_f (0 K): -2489 meV per atom
- Calculated total energy: -576.16 eV for the cell shown

The structure in Quantum ESPRESSO input format:
```
&SYSTEM
  ibrav = 0, nat = 84, ntyp = 4
/
ATOMIC_SPECIES
Li 6.94 Li.upf
Fe 55.84 Fe.upf
Si 28.09 Si.upf
O 16.00 O.upf
CELL_PARAMETERS angstrom
8.7502 0.0000 0.0000
0.0000 8.1174 0.0000
-8.6587 0.0000 15.2095
ATOMIC_POSITIONS crystal
Li 0.0043 0.1564 0.2530
Li 0.0043 0.3436 0.7530
Li 0.2609 0.0060 0.5598
Li 0.2609 0.4940 0.0598
Li 0.3692 0.0160 0.0849
Li 0.3692 0.4840 0.5849
Li 0.6308 0.5160 0.4151
Li 0.6308 0.9840 0.9151
Li 0.7391 0.5060 0.9402
Li 0.7391 0.9940 0.4402
Li 0.9957 0.6564 0.2470
Li 0.9957 0.8436 0.7470
Fe 0.0256 0.1602 0.9227
Fe 0.0256 0.3398 0.4227
Fe 0.3134 0.1666 0.7331
Fe 0.3134 0.3334 0.2331
Fe 0.3502 0.6594 0.9057
Fe 0.3502 0.8406 0.4057
Fe 0.6498 0.1594 0.5943
Fe 0.6498 0.3406 0.0943
Fe 0.6866 0.6666 0.7669
Fe 0.6866 0.8334 0.2669
Fe 0.9744 0.6602 0.5773
Fe 0.9744 0.8398 0.0773
Si 0.0379 0.7298 0.4282
Si 0.0379 0.7702 0.9282
Si 0.3135 0.7186 0.2285
Si 0.3135 0.7814 0.7285
Si 0.3615 0.2369 0.4117
Si 0.3615 0.2631 0.9117
Si 0.6385 0.7369 0.0883
Si 0.6385 0.7631 0.5883
Si 0.6865 0.2186 0.2715
Si 0.6865 0.2814 0.7715
Si 0.9621 0.2298 0.0718
Si 0.9621 0.2702 0.5718
O 0.0800 0.2150 0.5259
O 0.0800 0.2850 0.0259
O 0.0938 0.2197 0.1794
O 0.0938 0.2803 0.6794
O 0.1326 0.5487 0.4653
O 0.1326 0.9513 0.9653
O 0.1450 0.2370 0.3686
O 0.1450 0.2630 0.8686
O 0.1959 0.6354 0.9531
O 0.1959 0.8646 0.4531
O 0.2222 0.6403 0.6512
O 0.2222 0.8597 0.1512
O 0.2284 0.7319 0.2944
O 0.2284 0.7681 0.7944
O 0.2623 0.5406 0.1756
O 0.2623 0.9594 0.6756
O 0.4157 0.1319 0.8567
O 0.4157 0.3681 0.3567
O 0.4296 0.0539 0.3993
O 0.4296 0.4461 0.8993
O 0.4489 0.2140 0.0162
O 0.4489 0.2860 0.5162
O 0.4732 0.2311 0.2065
O 0.4732 0.2689 0.7065
O 0.5268 0.7311 0.2935
O 0.5268 0.7689 0.7935
O 0.5511 0.7140 0.4838
O 0.5511 0.7860 0.9838
O 0.5704 0.5539 0.1007
O 0.5704 0.9461 0.6007
O 0.5843 0.6319 0.6433
O 0.5843 0.8681 0.1433
O 0.7377 0.0406 0.3244
O 0.7377 0.4594 0.8244
O 0.7716 0.2319 0.2056
O 0.7716 0.2681 0.7056
O 0.7778 0.1403 0.8488
O 0.7778 0.3597 0.3488
O 0.8041 0.1354 0.5469
O 0.8041 0.3646 0.0469
O 0.8550 0.7370 0.1314
O 0.8550 0.7630 0.6314
O 0.8674 0.0487 0.0347
O 0.8674 0.4513 0.5347
O 0.9062 0.7197 0.3206
O 0.9062 0.7803 0.8206
O 0.9200 0.7150 0.9741
O 0.9200 0.7850 0.4741
```

***

[9]
Compound: Li2FeSiO4
Source: the Materials Project
Functional: PBE with a Hubbard U
Structure: optimized geometry Values from VASP.

Results
- Theoretical density: 3.023 g cm⁻³
- ΔH_f (0 K): -2541 meV per atom
- Calculated total energy: -211.32 eV for the cell shown

The structure in Quantum ESPRESSO input format:
```
&SYSTEM
  ibrav = 0, nat = 32, ntyp = 4
/
ATOMIC_SPECIES
Li 6.94 Li.upf
Fe 55.84 Fe.upf
Si 28.09 Si.upf
O 16.00 O.upf
CELL_PARAMETERS angstrom
6.3757 0.0000 0.0000
0.0000 5.1171 0.0000
-0.3158 0.0000 10.8970
ATOMIC_POSITIONS crystal
Li 0.0046 0.2001 0.1696
Li 0.0046 0.2999 0.6696
Li 0.2161 0.1980 0.9288
Li 0.2161 0.3020 0.4288
Li 0.7839 0.6980 0.5712
Li 0.7839 0.8020 0.0712
Li 0.9954 0.7001 0.3304
Li 0.9954 0.7999 0.8304
Fe 0.4942 0.7066 0.3429
Fe 0.4942 0.7934 0.8429
Fe 0.5058 0.2066 0.1571
Fe 0.5058 0.2934 0.6571
Si 0.2459 0.6986 0.0897
Si 0.2459 0.8014 0.5897
Si 0.7541 0.1986 0.4103
Si 0.7541 0.3014 0.9103
O 0.0487 0.6860 0.6634
O 0.0487 0.8140 0.1634
O 0.2422 0.1253 0.5891
O 0.2422 0.3747 0.0891
O 0.2463 0.6926 0.4471
O 0.2463 0.8074 0.9471
O 0.4759 0.7103 0.6581
O 0.4759 0.7897 0.1581
O 0.5241 0.2103 0.8419
O 0.5241 0.2897 0.3419
O 0.7537 0.1926 0.0529
O 0.7537 0.3074 0.5529
O 0.7578 0.6253 0.9109
O 0.7578 0.8747 0.4109
O 0.9513 0.1860 0.8366
O 0.9513 0.3140 0.3366
```